[1]
12
Lattice="5.911 0.000 0.000 0.000 5.911 0.000 0.000 0.000 5.911" Properties=species:S:1:pos:R:3 comment="AsPPt, relaxed, DFT GGA-PBE" sg="P2_13, No. 198" formation_energy_ev_per_fu=-1.7 pbc="T T T"
As 0.667 0.667 0.667
As 2.288 5.244 3.622
As 3.622 2.288 5.244
As 5.244 3.622 2.288
P 0.677 2.278 3.633
P 2.278 3.633 0.677
P 3.633 0.677 2.278
P 5.233 5.233 5.233
Pt 0.054 3.009 5.857
Pt 2.901 2.901 2.901
Pt 3.009 5.857 0.054
Pt 5.857 0.054 3.009

---

[2]
15
Lattice="2.018 1.165 16.594 -2.018 1.165 16.594 0.000 -2.330 16.594" Properties=species:S:1:pos:R:3 comment="As4PRh10, relaxed, DFT GGA-PBE" sg="R-3m, No. 166" formation_energy_ev_per_fu=-7.9 pbc="T T T"
As 0.000 0.000 5.049
As 0.000 0.000 14.906
As 0.000 0.000 34.875
As 0.000 0.000 44.732
P 0.000 0.000 24.890
Rh 0.000 0.000 2.534
Rh 0.000 0.000 7.552
Rh 0.000 0.000 12.378
Rh 0.000 0.000 17.423
Rh 0.000 0.000 22.534
Rh 0.000 0.000 27.246
Rh 0.000 0.000 32.358
Rh 0.000 0.000 37.403
Rh 0.000 0.000 42.229
Rh 0.000 0.000 47.247

---

[3]
6
Lattice="5.327 0.000 0.000 0.000 2.962 0.000 -0.205 0.000 6.100" Properties=species:S:1:pos:R:3 comment="AsPRu, relaxed, DFT GGA-PBE" sg="P2/m, No. 10" formation_energy_ev_per_fu=-1.4 pbc="T T T"
As 0.884 0.000 0.834
As 4.238 0.000 5.266
P 1.665 1.481 3.824
P 3.458 1.481 2.276
Ru -0.102 0.000 3.050
Ru 2.664 1.481 0.000

---

[4]
44
Lattice="12.512 0.000 0.000 0.000 8.632 0.000 -0.963 0.000 11.868" Properties=species:S:1:pos:R:3 comment="As2P2S7, relaxed, DFT GGA-PBE" sg="P2_1/c, No. 14" formation_energy_ev_per_fu=-5.6 pbc="T T T"
As 1.744 0.989 3.778
As 1.263 3.327 9.712
As 3.225 5.003 10.100
As 3.706 7.945 4.166
As 7.843 0.687 7.701
As 8.324 3.629 1.768
As 10.286 5.305 2.155
As 9.804 7.643 8.089
P 1.385 5.760 7.283
P 1.866 7.188 1.349
P 4.176 1.242 1.361
P 3.695 3.074 7.295
P 7.854 5.558 4.573
P 7.373 7.390 10.507
P 9.683 1.444 10.519
P 10.164 2.872 4.585
S -0.015 4.565 8.290
S 0.467 8.383 2.356
S 1.036 5.932 0.121
S 0.554 7.016 6.055
S 2.307 1.877 8.299
S 2.788 2.439 2.366
S 2.651 4.508 6.110
S 3.133 8.439 0.176
S 2.983 6.238 2.834
S 2.502 6.710 8.768
S 4.795 2.069 6.043
S 5.277 2.246 0.109
S 5.294 0.263 2.832
S 4.813 4.053 8.766
S 6.736 4.579 3.102
S 6.254 8.369 9.036
S 6.272 6.385 11.758
S 6.754 6.562 5.825
S 9.047 1.922 3.099
S 8.566 2.394 9.033
S 8.416 0.192 11.691
S 8.898 4.124 5.758
S 8.760 6.193 9.502
S 9.242 6.755 3.568
S 10.995 1.616 5.813
S 10.513 2.700 11.747
S 11.082 0.249 9.511
S 11.564 4.067 3.577

---

[5]
8
Lattice="6.123 -2.810 0.000 6.123 2.810 0.000 -2.533 0.000 4.997" Properties=species:S:1:pos:R:3 comment="Zn2Si2As3P, relaxed, DFT GGA-PBE" sg="C2, No. 5" formation_energy_ev_per_fu=-1.8 pbc="T T T"
Zn 0.572 0.000 1.823
Zn 9.142 0.000 3.174
Si 4.322 0.084 0.601
Si 5.391 0.084 4.396
As 1.129 -1.357 3.812
As 4.857 -1.273 2.498
As 8.585 -1.357 1.185
P 6.123 1.357 0.000

---

[6]
8
Lattice="3.572 0.000 0.000 -1.786 3.094 0.000 0.000 0.000 11.996" Properties=species:S:1:pos:R:3 comment="Ti2AsP, relaxed, DFT GGA-PBE" sg="P6_3/mmc, No. 194" formation_energy_ev_per_fu=-4.0 pbc="T T T"
Ti 0.000 2.063 1.476
Ti 0.000 2.063 4.522
Ti 1.786 1.031 7.474
Ti 1.786 1.031 10.520
As 0.000 0.000 0.000
As 0.000 0.000 5.998
P 0.000 2.063 8.997
P 1.786 1.031 2.999